Computed, not measured: a relaxed Mg6ZrBi crystal at the GGA-PBE level of DFT.

```
16
Lattice="5.334 0.000 0.000 0.000 6.193 0.000 0.000 0.000 11.334" Properties=species:S:1:pos:R:3 pbc="T T T"
Mg 2.667 4.660 4.727
Mg 0.000 0.000 9.499
Zr 2.667 3.096 7.576
Bi 2.667 3.096 1.900
Mg 0.000 4.700 0.913
Mg 0.000 4.589 6.580
Mg 2.667 1.533 4.727
Mg 0.000 3.096 9.417
Mg 0.000 1.604 6.580
Bi 2.667 0.000 7.567
Mg 2.667 1.563 10.394
Mg 0.000 3.096 3.831
Mg 0.000 0.000 3.750
Zr 2.667 0.000 1.909
Mg 2.667 4.629 10.394
Mg 0.000 1.492 0.913
```

Energy above the most stable polymorph in this dataset   0.000 eV per formula unit

=====

Computed, not measured: a relaxed Mg6ZrBi crystal at the GGA-PBE level of DFT.

```
16
Lattice="-3.925 3.305 -0.007 -1.587 -1.872 6.114 6.607 7.857 4.120" Properties=species:S:1:pos:R:3 pbc="T T T"
Mg -0.402 3.520 6.311
Mg 4.731 5.634 6.502
Mg 1.647 5.953 5.799
Bi -1.645 2.038 3.746
Mg 2.908 7.456 8.348
Mg 3.418 4.069 3.980
Bi 2.452 6.902 2.749
Zr 5.523 6.568 3.444
Mg -0.863 2.960 0.682
Mg 0.147 0.179 1.795
Mg 2.657 3.172 6.912
Zr 1.425 1.703 4.441
Mg 0.398 4.463 3.231
Mg -0.679 -0.796 4.978
Mg 2.221 2.641 1.385
Mg 3.695 8.385 5.314
```

Energy above the most stable polymorph in this dataset   0.029 eV per formula unit

=====

Computed, not measured: a relaxed Mn3Bi crystal at the GGA-PBE level of DFT.

```
16
Lattice="5.487 -9.333 0.000 5.487 9.333 0.000 -10.390 0.000 3.042" Properties=species:S:1:pos:R:3 pbc="T T T"
Mn -2.356 0.000 1.897
Mn -0.996 -2.313 1.899
Mn -6.701 -2.169 2.335
Mn 5.487 -4.996 0.000
Mn 5.487 4.996 0.000
Bi -2.452 -4.667 1.521
Bi 0.000 0.000 0.000
Mn 1.798 -7.165 0.707
Mn 1.798 7.165 0.707
Mn -0.996 2.313 1.899
Bi 5.487 0.000 0.000
Mn 2.939 0.000 1.145
Bi -2.452 4.667 1.521
Mn 1.579 -2.313 1.143
Mn 1.579 2.313 1.143
Mn -6.701 2.169 2.335
```

Raw total energy   -7.214 eV/atom
Space-group type   R-3m, No. 166

=====

Computed, not measured: a relaxed Mn3Bi crystal at the GGA-PBE level of DFT.

```
4
Lattice="-2.005 2.005 4.275 2.005 -2.005 4.275 2.005 2.005 -4.275" Properties=species:S:1:pos:R:3 pbc="T T T"
Mn 2.005 0.000 2.138
Mn 0.000 2.005 2.138
Mn 0.000 0.000 4.275
Bi 0.000 0.000 0.000
```

Raw total energy   -7.450 eV/atom
Space-group type   I4/mmm, No. 139

=====

Computed, not measured: a relaxed MnBi3 crystal at the GGA-PBE level of DFT.

```
4
Lattice="-3.906 2.164 1.898 -0.525 -3.681 3.117 2.830 2.304 3.198" Properties=species:S:1:pos:R:3 pbc="T T T"
Bi -0.538 2.234 2.548
Mn 0.000 0.000 0.000
Bi -2.215 -0.759 2.507
Bi 1.153 -0.688 3.157
```

Raw total energy   -4.813 eV/atom
Space-group type   Pm-3m, No. 221

=====

Computed, not measured: a relaxed Mn5Bi4Pd2 crystal at the GGA-PBE level of DFT.

```
22
Lattice="0.000 6.184 6.184 6.184 0.000 6.184 6.184 6.184 0.000" Properties=species:S:1:pos:R:3 pbc="T T T"
Pd 4.551 4.551 4.551
Bi 6.184 6.184 6.184
Mn 4.300 4.300 1.884
Bi 11.869 9.276 9.276
Bi 0.000 0.000 0.000
Pd 7.817 7.817 4.551
Mn 1.884 1.884 1.884
Mn 6.184 3.085 6.184
Pd 4.551 7.817 7.817
Mn 9.283 6.184 6.184
Mn 6.184 6.184 3.085
Mn 1.884 4.300 4.300
Bi 9.276 6.683 9.276
Mn 3.085 6.184 6.184
Bi 9.276 11.869 9.276
Bi 9.276 9.276 11.869
Mn 4.300 1.884 4.300
Mn 6.184 9.283 6.184
Bi 9.276 9.276 6.683
Bi 6.683 9.276 9.276
Pd 7.817 4.551 7.817
Mn 6.184 6.184 9.283
```

Raw total energy   -6.428 eV/atom
Space-group type   F-43m, No. 216

=====

Computed, not measured: a relaxed Mn5Bi4Rh2 crystal at the GGA-PBE level of DFT.

```
22
Lattice="-6.152 0.000 -6.152 6.152 -6.152 0.000 -6.152 -6.152 0.000" Properties=species:S:1:pos:R:3 pbc="T T T"
Bi 0.000 -6.152 -2.598
Bi 0.000 -8.750 0.000
Bi 0.000 -3.554 0.000
Mn -3.076 -0.009 -3.076
Bi -3.076 -3.076 -3.076
Rh -1.490 -10.814 -1.490
Mn -3.076 -3.076 -6.144
Rh -4.662 -10.814 -4.662
Mn -3.076 -3.076 -0.009
Rh -4.662 -7.642 -1.490
Bi -3.076 -9.228 -3.076
Mn -6.144 -3.076 -3.076
Bi -6.152 -6.152 -3.554
Mn -3.076 -6.144 -3.076
Rh -1.490 -7.642 -4.662
Mn -1.102 -1.102 -1.102
Bi -2.598 -6.152 0.000
Mn -0.009 -3.076 -3.076
Mn -1.102 -5.050 -5.050
Mn -5.050 -5.050 -1.102
Mn -5.050 -1.102 -5.050
Bi 2.598 -6.152 0.000
```

Raw total energy   -6.835 eV/atom
Space-group type   F-43m, No. 216

=====

Computed, not measured: a relaxed MnBi4S7 crystal at the GGA-PBE level of DFT.

```
12
Lattice="1.997 6.490 0.000 -1.997 6.490 0.000 0.000 3.089 11.612" Properties=species:S:1:pos:R:3 pbc="T T T"
S 0.000 9.800 5.249
Bi 0.000 10.897 7.664
Bi 0.000 1.787 0.879
S 0.000 5.988 9.962
Bi 0.000 14.282 10.734
S 0.000 6.269 6.363
Mn 0.000 1.545 5.806
S 0.000 6.490 0.000
S 0.000 2.556 8.052
S 0.000 13.513 3.560
Bi 0.000 5.172 3.949
S 0.000 10.081 1.650
```

Raw total energy   -4.850 eV/atom
Space-group type   C2/m, No. 12

=====

Computed, not measured: a relaxed Ti4MnBi2 crystal at the GGA-PBE level of DFT.

```
14
Lattice="-5.274 5.274 2.487 5.274 -5.274 2.487 5.274 5.274 -2.487" Properties=species:S:1:pos:R:3 pbc="T T T"
Ti 0.848 2.028 2.487
Ti 4.426 -3.245 2.487
Ti 2.028 0.848 0.000
Ti 2.028 -0.848 2.487
Bi 6.735 1.462 0.000
Bi 1.462 3.812 0.000
Bi 3.812 1.462 2.487
Bi -1.462 3.812 2.487
Ti 0.848 8.519 0.000
Mn 0.000 0.000 3.731
Ti 3.245 4.426 2.487
Mn 0.000 0.000 1.244
Ti 3.245 6.121 0.000
Ti 4.426 3.245 0.000
```

Raw total energy   -7.199 eV/atom
Space-group type   I4/mcm, No. 140

=====

Computed, not measured: a relaxed Y6MnBi2 crystal at the GGA-PBE level of DFT.

```
9
Lattice="4.163 -7.210 0.000 4.163 7.210 0.000 0.000 0.000 4.317" Properties=species:S:1:pos:R:3 pbc="T T T"
Bi 4.163 -2.403 2.159
Y 3.298 0.000 0.000
Y 2.514 4.354 0.000
Y 6.378 0.000 2.159
Y 2.514 -4.354 0.000
Y 0.974 -1.687 2.159
Mn 0.000 0.000 0.000
Bi 4.163 2.403 2.159
Y 0.974 1.687 2.159
```

Raw total energy   -6.627 eV/atom
Space-group type   P-62m, No. 189

=====

Computed, not measured: a relaxed Zr6MnBi2 crystal at the GGA-PBE level of DFT.

```
9
Lattice="0.000 0.000 -3.706 -3.983 -6.900 0.000 -3.983 6.900 0.000" Properties=species:S:1:pos:R:3 pbc="T T T"
Zr -0.942 -1.631 -1.853
Mn 0.000 0.000 0.000
Zr -3.112 0.000 0.000
Bi -3.983 2.300 -1.853
Zr -0.942 1.631 -1.853
Bi -3.983 -2.300 -1.853
Zr -6.083 0.000 -1.853
Zr -2.428 -4.205 0.000
Zr -2.428 4.205 0.000
```

Raw total energy   -7.862 eV/atom
Space-group type   P-62m, No. 189

=====

Computed, not measured: a relaxed Bi14Mo5 crystal at the GGA-PBE level of DFT.

```
19
Lattice="2.100 -8.016 -12.382 6.777 -7.697 -10.808 -0.419 -6.854 2.634" Properties=species:S:1:pos:R:3 pbc="T T T"
Bi 1.552 -6.038 -3.386
Bi 5.628 -16.368 -13.403
Mo 0.000 0.000 0.000
Bi 3.042 -10.352 -6.939
Mo 7.055 -19.372 -17.033
Bi 6.518 -12.769 -16.775
Mo 1.404 -3.195 -3.522
Bi 4.283 -13.383 -10.013
Mo 3.324 -13.186 -7.202
Bi 0.400 -2.832 -0.613
Bi 2.830 -6.199 -7.152
Bi 6.906 -16.529 -17.169
Mo 5.134 -9.380 -13.352
Bi 0.528 -7.105 -0.127
Bi 4.175 -9.183 -10.542
Bi 8.058 -19.735 -19.942
Bi 7.931 -15.462 -20.428
Bi 5.416 -12.215 -13.616
Bi 1.941 -9.797 -3.779
```

Raw total energy   -5.399 eV/atom
Space-group type   C2/m, No. 12

=====

Computed, not measured: a relaxed Bi10Mo3 crystal at the GGA-PBE level of DFT.

```
13
Lattice="2.453 10.009 0.000 -2.453 10.009 0.000 0.000 1.020 7.348" Properties=species:S:1:pos:R:3 pbc="T T T"
Bi 0.000 9.667 1.651
Bi 0.000 17.413 1.259
Bi 0.000 16.134 6.194
Bi 0.000 19.282 5.014
Mo 0.000 8.508 6.784
Bi 0.000 7.099 4.266
Bi 0.000 3.624 6.090
Bi 0.000 1.755 2.334
Bi 0.000 11.371 5.697
Bi 0.000 4.903 1.154
Mo 0.000 0.000 0.000
Bi 0.000 13.939 3.082
Mo 0.000 12.529 0.564
```

Raw total energy   -5.146 eV/atom
Space-group type   C2/m, No. 12

=====

Computed, not measured: a relaxed NbBi2Mo crystal at the GGA-PBE level of DFT.

```
4
Lattice="0.000 3.531 3.531 3.531 0.000 3.531 3.531 3.531 0.000" Properties=species:S:1:pos:R:3 pbc="T T T"
Bi 5.297 5.297 5.297
Nb 1.766 1.766 1.766
Bi 0.000 0.000 0.000
Mo 3.531 3.531 3.531
```

Raw total energy   -6.492 eV/atom
Space-group type   F-43m, No. 216

=====

Computed, not measured: a relaxed BiMo30Pb4S40 crystal at the GGA-PBE level of DFT.

```
75
Lattice="9.406 0.000 0.000 -0.126 11.359 0.000 -4.513 -3.898 13.380" Properties=species:S:1:pos:R:3 pbc="T T T"
Mo -2.855 -2.467 9.864
Mo 0.164 4.016 9.109
S -0.625 9.349 5.624
S 2.347 -0.035 2.050
S 0.672 2.860 7.001
Mo 5.639 6.636 1.348
S 8.810 1.823 0.277
Mo 1.045 -0.975 4.020
Mo -0.975 4.666 6.677
S 7.015 3.729 4.750
S 2.408 3.662 12.775
S 2.304 2.824 3.981
S -2.113 -2.973 12.086
S 5.392 -1.888 7.756
S 4.192 1.752 8.306
S 6.994 6.589 6.661
Mo 2.953 6.153 0.841
S -0.521 5.537 11.004
S 4.200 0.773 11.732
Mo 3.047 2.326 6.197
S -2.303 2.755 12.002
Mo -0.086 -0.303 1.580
S 4.095 4.601 6.379
Pb 4.781 3.694 10.705
S 5.389 -0.905 4.331
S 2.307 7.500 7.427
Mo 3.750 0.913 4.009
S 2.359 3.799 0.604
S -0.597 0.832 3.697
Mo 3.166 -1.508 11.540
S 4.090 5.588 2.954
Mo 4.853 7.764 11.800
S 0.567 6.688 1.648
Mo 1.601 8.969 1.840
Mo -0.012 3.376 12.302
S 6.880 10.434 1.294
Mo 4.878 0.249 6.436
Mo -1.667 6.098 8.881
Pb 4.675 7.525 5.351
Mo -3.560 -1.040 12.058
S 5.364 6.629 9.683
S 0.575 5.709 5.073
S 7.057 7.558 3.280
Mo -0.111 7.212 6.944
Mo -0.872 0.825 12.031
Pb -0.014 3.767 2.675
Mo 4.709 -0.382 9.616
S 2.420 7.496 11.330
Mo 8.327 8.501 1.322
Mo 4.779 4.085 1.078
Mo 3.722 8.436 9.360
S 2.460 -0.039 5.953
Mo 0.058 7.843 3.763
S 5.288 1.924 2.376
S 7.070 4.706 1.378
S -2.290 -0.097 10.100
S -4.043 5.638 13.103
S -2.249 3.732 8.629
S 2.463 4.637 9.398
Mo 1.017 6.548 9.371
Bi 4.703 0.000 0.000
Mo 6.434 1.363 4.499
Mo 4.603 3.445 4.271
S -2.227 0.872 6.719
S 4.000 8.465 1.015
S 2.356 8.460 4.046
Mo 5.742 2.795 6.703
S -0.622 8.366 9.049
Pb 0.092 -0.064 8.029
S 0.767 -1.004 12.365
S 2.411 -0.999 9.333
Mo 1.720 5.135 7.183
Mo 1.814 1.308 12.538
S 0.677 1.873 10.425
Mo 7.622 9.928 3.516
```

Raw total energy   -7.446 eV/atom
Space-group type   P-1, No. 2

=====

Computed, not measured: a relaxed BiMoRh crystal at the GGA-PBE level of DFT.

```
3
Lattice="0.000 3.170 3.170 3.170 0.000 3.170 3.170 3.170 0.000" Properties=species:S:1:pos:R:3 pbc="T T T"
Mo 1.585 1.585 1.585
Bi 3.170 3.170 3.170
Rh 0.000 0.000 0.000
```

Raw total energy   -6.826 eV/atom
Space-group type   F-43m, No. 216

=====

Ρ (g cm⁻³)
4.0; 4.0; 8.0; 9.0; 9.9; 9.3; 9.4; 6.2; 8.0; 6.4; 8.3; 10.8; 10.9; 11.4; 6.0; 10.6